Li2SiNiO4 | GGA+U | relaxed

Unit cell a=5.215 b=5.219 c=6.444 alpha=90.23 beta=90.12 gamma=91.80
Fractional coordinates of all 16 atoms:
Li  0.000  0.000  0.000
Li  0.125  0.500  0.748
Li  0.498  0.128  0.248
Li  0.625  0.626  0.496
Si  0.634  0.638  0.996
Si  0.988  0.991  0.499
Ni  0.128  0.497  0.247
Ni  0.495  0.131  0.748
O  0.022  0.676  0.500
O  0.114  0.117  0.713
O  0.117  0.117  0.288
O  0.508  0.509  0.208
O  0.508  0.512  0.783
O  0.599  0.952  0.001
O  0.674  0.025  0.495
O  0.949  0.605  0.995

energy above the lowest structure with this stoichiometry = 22 meV per atom
ρ = 3.120 Mg/m³
V = 10.96 Å³/atom
energy of formation = -2.4290 eV per atom


Li2SiNiO4 | GGA+U | relaxed

Unit cell a=5.228 b=5.367 c=12.537 alpha=88.28 beta=89.36 gamma=87.36
Fractional coordinates of all 32 atoms:
Li  0.000  0.000  0.000
Li  0.001  0.000  0.500
Li  0.119  0.487  0.119
Li  0.124  0.494  0.620
Li  0.498  0.863  0.379
Li  0.499  0.862  0.878
Li  0.621  0.349  0.748
Li  0.622  0.347  0.248
Si  0.630  0.346  0.997
Si  0.635  0.353  0.498
Si  0.987  0.998  0.250
Si  0.992  0.004  0.750
Ni  0.125  0.505  0.868
Ni  0.130  0.499  0.367
Ni  0.494  0.842  0.128
Ni  0.500  0.848  0.628
O  0.022  0.302  0.247
O  0.028  0.308  0.748
O  0.112  0.864  0.143
O  0.114  0.871  0.360
O  0.117  0.877  0.861
O  0.118  0.872  0.643
O  0.501  0.476  0.104
O  0.504  0.479  0.888
O  0.505  0.483  0.605
O  0.508  0.483  0.389
O  0.594  0.041  0.002
O  0.601  0.047  0.502
O  0.672  0.973  0.250
O  0.678  0.977  0.751
O  0.943  0.377  0.995
O  0.949  0.386  0.496

energy above the lowest structure with this stoichiometry = 17 meV per atom
ρ = 3.114 Mg/m³
V = 10.98 Å³/atom
energy of formation = -2.4340 eV per atom


Li2SiNiO4 | GGA+U | relaxed

Unit cell a=5.368 b=9.837 c=6.311 alpha=90.00 beta=90.00 gamma=89.99
Fractional coordinates of all 32 atoms:
Li  0.328  0.496  0.250
Li  0.329  0.996  0.250
Li  0.672  0.246  0.250
Li  0.671  0.746  0.250
Li  0.328  0.496  0.750
Li  0.329  0.996  0.750
Li  0.672  0.246  0.750
Li  0.671  0.746  0.750
Si  0.167  0.251  0.000
Si  0.167  0.751  0.000
Si  0.833  0.001  0.500
Si  0.833  0.501  0.500
Ni  0.824  0.994  0.000
Ni  0.176  0.744  0.500
Ni  0.824  0.495  0.000
Ni  0.176  0.244  0.500
O  0.167  0.419  0.000
O  0.167  0.919  0.000
O  0.833  0.169  0.500
O  0.833  0.669  0.500
O  0.874  0.197  0.000
O  0.875  0.697  0.000
O  0.125  0.447  0.500
O  0.126  0.947  0.500
O  0.686  0.448  0.285
O  0.686  0.948  0.285
O  0.314  0.198  0.215
O  0.314  0.698  0.215
O  0.314  0.198  0.785
O  0.314  0.698  0.785
O  0.686  0.448  0.715
O  0.686  0.948  0.715

energy above the lowest structure with this stoichiometry = 0 meV per atom
ρ = 3.282 Mg/m³
V = 10.41 Å³/atom
energy of formation = -2.4510 eV per atom


Li2Si2NiO6 | GGA+U | relaxed

Unit cell a=10.041 b=7.132 c=9.822 alpha=90.00 beta=90.00 gamma=90.00
Fractional coordinates of all 66 atoms:
Li  0.000  0.212  0.000
Li  0.000  0.230  0.525
Li  0.225  0.711  0.213
Li  0.229  0.779  0.792
Li  0.271  0.221  0.292
Li  0.275  0.289  0.713
Li  0.500  0.770  0.025
Li  0.500  0.788  0.500
Li  0.725  0.289  0.713
Li  0.729  0.221  0.292
Li  0.771  0.779  0.792
Li  0.775  0.711  0.213
Si  0.000  0.020  0.282
Si  0.000  0.483  0.726
Si  0.226  0.977  0.510
Si  0.227  0.524  0.499
Si  0.273  0.476  0.999
Si  0.274  0.023  0.010
Si  0.500  0.517  0.226
Si  0.500  0.980  0.782
Si  0.726  0.023  0.010
Si  0.727  0.476  0.999
Si  0.773  0.524  0.499
Si  0.774  0.977  0.510
Ni  0.000  0.020  0.780
Ni  0.000  0.482  0.222
Ni  0.000  0.751  0.003
Ni  0.500  0.249  0.503
Ni  0.500  0.518  0.722
Ni  0.500  0.980  0.280
O  0.000  0.201  0.185
O  0.000  0.303  0.825
O  0.000  0.694  0.788
O  0.000  0.810  0.218
O  0.123  0.443  0.617
O  0.125  0.055  0.390
O  0.131  0.955  0.950
O  0.133  0.556  0.058
O  0.173  0.053  0.655
O  0.179  0.463  0.348
O  0.224  0.750  0.514
O  0.276  0.250  0.014
O  0.321  0.537  0.848
O  0.327  0.947  0.155
O  0.367  0.444  0.558
O  0.369  0.045  0.450
O  0.375  0.945  0.890
O  0.377  0.557  0.117
O  0.500  0.190  0.718
O  0.500  0.306  0.288
O  0.500  0.697  0.325
O  0.500  0.799  0.685
O  0.623  0.557  0.117
O  0.625  0.945  0.890
O  0.631  0.045  0.450
O  0.633  0.444  0.558
O  0.673  0.947  0.155
O  0.679  0.537  0.848
O  0.724  0.250  0.014
O  0.776  0.750  0.514
O  0.821  0.463  0.348
O  0.827  0.053  0.655
O  0.867  0.556  0.058
O  0.869  0.955  0.950
O  0.875  0.055  0.390
O  0.877  0.443  0.617

energy above the lowest structure with this stoichiometry = 67 meV per atom
ρ = 3.183 Mg/m³
V = 10.66 Å³/atom
energy of formation = -2.5896 eV per atom


Li2Si4Ni4O13 | GGA+U | relaxed

Unit cell a=6.750 b=7.868 c=10.134 alpha=67.28 beta=80.72 gamma=77.73
Fractional coordinates of all 46 atoms:
Li  0.221  0.499  0.118
Li  0.249  0.968  0.576
Li  0.751  0.032  0.424
Li  0.779  0.501  0.882
Si  0.078  0.830  0.285
Si  0.271  0.583  0.821
Si  0.272  0.139  0.286
Si  0.380  0.160  0.716
Si  0.620  0.840  0.284
Si  0.728  0.861  0.714
Si  0.729  0.417  0.179
Si  0.922  0.170  0.715
Ni  0.080  0.559  0.613
Ni  0.087  0.191  0.992
Ni  0.422  0.444  0.385
Ni  0.429  0.806  0.012
Ni  0.571  0.194  0.988
Ni  0.578  0.556  0.615
Ni  0.913  0.809  0.008
Ni  0.920  0.441  0.387
O  0.092  0.455  0.837
O  0.124  0.979  0.349
O  0.139  0.613  0.392
O  0.142  0.883  0.113
O  0.165  0.123  0.694
O  0.209  0.275  0.376
O  0.209  0.705  0.926
O  0.280  0.706  0.646
O  0.284  0.239  0.112
O  0.390  0.101  0.888
O  0.406  0.369  0.607
O  0.488  0.005  0.343
O  0.493  0.535  0.159
O  0.507  0.465  0.841
O  0.512  0.995  0.657
O  0.594  0.631  0.393
O  0.610  0.899  0.112
O  0.716  0.761  0.888
O  0.720  0.294  0.354
O  0.791  0.295  0.074
O  0.791  0.725  0.624
O  0.835  0.877  0.306
O  0.858  0.117  0.887
O  0.861  0.387  0.608
O  0.876  0.021  0.651
O  0.908  0.545  0.163

ρ = 3.910 Mg/m³
V = 10.51 Å³/atom
energy of formation = -2.4258 eV per atom


Li4Si2NiO7 | GGA+U | relaxed

Unit cell a=6.777 b=9.019 c=9.620 alpha=89.78 beta=79.96 gamma=89.42
Fractional coordinates of all 56 atoms:
Li  0.000  0.000  0.000
Li  0.000  0.244  0.500
Li  0.285  0.248  0.066
Li  0.290  0.501  0.565
Li  0.294  0.998  0.565
Li  0.296  0.751  0.064
Li  0.410  0.250  0.362
Li  0.415  0.498  0.861
Li  0.419  0.001  0.861
Li  0.422  0.748  0.359
Li  0.702  0.498  0.422
Li  0.706  0.744  0.922
Li  0.707  0.245  0.925
Li  0.707  0.989  0.424
Li  0.994  0.491  0.998
Li  0.999  0.744  0.497
Si  0.135  0.488  0.287
Si  0.139  0.738  0.790
Si  0.142  0.238  0.786
Si  0.146  0.985  0.289
Si  0.558  0.485  0.137
Si  0.562  0.734  0.640
Si  0.564  0.235  0.637
Si  0.568  0.988  0.139
Ni  0.844  0.241  0.224
Ni  0.859  0.492  0.701
Ni  0.859  0.991  0.704
Ni  0.862  0.741  0.197
O  0.071  0.381  0.163
O  0.079  0.636  0.663
O  0.082  0.134  0.660
O  0.084  0.885  0.160
O  0.189  0.392  0.419
O  0.191  0.640  0.921
O  0.197  0.141  0.916
O  0.200  0.886  0.418
O  0.346  0.583  0.211
O  0.352  0.832  0.717
O  0.353  0.333  0.711
O  0.355  0.082  0.216
O  0.504  0.386  0.009
O  0.507  0.638  0.511
O  0.511  0.137  0.507
O  0.514  0.891  0.009
O  0.619  0.384  0.266
O  0.628  0.629  0.765
O  0.631  0.132  0.763
O  0.633  0.880  0.263
O  0.735  0.605  0.080
O  0.739  0.854  0.583
O  0.740  0.355  0.578
O  0.744  0.110  0.085
O  0.957  0.610  0.341
O  0.961  0.861  0.845
O  0.962  0.360  0.840
O  0.966  0.105  0.347

energy above the lowest structure with this stoichiometry = 11 meV per atom
ρ = 2.921 Mg/m³
V = 10.34 Å³/atom
energy of formation = -2.6128 eV per atom


- What is the ρ in the first record?
  3.120 Mg/m³


- Number 6 is which compound?
  Li4Si2NiO7